# CrFe3Sn2P6O24

Crystalline CrFe3Sn2P6O24 at its relaxed geometry (PBE+U, Materials Project).

Structure (extended XYZ):
```
36
Lattice="4.3339 2.5022 7.2610 -4.3339 2.5022 7.2610 0.0000 -5.0043 7.2610" Properties=species:S:1:pos:R:3 pbc="T T T"
Cr 0.0000 0.0000 0.0000
Fe 0.0000 0.0000 4.5082
Fe 0.0000 0.0000 10.9895
Fe 0.0000 0.0000 15.3898
Sn 0.0000 0.0000 7.7534
Sn 0.0000 0.0000 18.5619
P -1.2380 -2.8382 9.5356
P -2.5290 -0.0009 13.2047
P -1.8390 2.4912 9.5356
P 1.2653 -2.1898 13.2047
P 3.0769 0.3470 9.5356
P 1.2638 2.1906 13.2047
O -0.7871 -3.5242 8.2608
O -1.5084 -0.1449 5.9909
O -3.4536 -1.2668 13.1702
O -0.8596 -3.5371 10.8288
O -2.6585 2.4438 8.2608
O -0.6121 -1.3875 9.4803
O 0.8797 -1.2339 5.9909
O -1.7129 -0.0546 11.9133
O -2.6334 2.5130 10.8288
O -0.8955 1.2239 9.4803
O 0.6287 1.3788 5.9909
O -1.6959 0.0406 14.4758
O 0.9037 -1.4561 11.9133
O -0.9126 -1.2368 16.8359
O 1.5077 0.1636 9.4803
O 0.8128 -1.4890 14.4758
O 0.8092 1.5107 11.9133
O 2.8238 -2.3575 13.1703
O -0.6149 1.4087 16.8359
O 3.4456 1.0805 8.2608
O 0.8831 1.4484 14.4758
O 0.6297 3.6243 13.1703
O 1.5274 -0.1719 16.8359
O 3.4930 1.0241 10.8288
```

Total moment = 0.28 μB/atom



# Ba3Nb2CoO9

Crystalline Ba3Nb2CoO9 at its relaxed geometry (PBE+U, Materials Project).

Structure (extended XYZ):
```
15
Lattice="5.0700 -2.9348 0.0000 5.0700 2.9348 0.0000 -0.0150 0.0000 7.1911" Properties=species:S:1:pos:R:3 pbc="T T T"
Ba 0.0000 0.0000 0.0000
Ba 3.3707 0.0000 2.4089
Ba 6.7543 0.0000 4.7822
Nb 3.3684 0.0000 5.9124
Nb 6.7566 0.0000 1.2787
Co -0.0075 0.0000 3.5955
O 2.5350 1.4674 0.0000
O 1.7235 0.0000 4.8452
O 4.1876 1.4274 4.8523
O 5.9374 1.4274 2.3388
O 2.5350 -1.4674 0.0000
O 5.0700 0.0000 0.0000
O 4.1876 -1.4274 4.8523
O 5.9374 -1.4274 2.3388
O 8.4015 0.0000 2.3459
```

Total moment = 0.20 μB/atom
Energy above the most stable polymorph in this dataset = 0 meV/atom



| no. | formation energy from the elements (kJ/mol of formula units) |
| --- | --- |
| 1 | -8147 |
| 2 | -4373 |